First-principles (PBE) data for Cu2PO5 after structural relaxation, as listed in the Materials Project.

abc: 7.9968 8.5615 5.8132
angles: 90.00 90.00 90.00
Element x y z (fractional)
Cu1 0.0000 0.0000 0.2478
Cu2 0.0000 0.0000 0.7522
Cu3 0.1518 0.3835 0.5000
Cu4 0.3482 0.8835 0.0000
Cu5 0.5000 0.5000 0.2522
Cu6 0.5000 0.5000 0.7478
Cu7 0.6518 0.1165 0.0000
Cu8 0.8482 0.6165 0.5000
P1 0.2298 0.7526 0.5000
P2 0.2702 0.2526 0.0000
P3 0.7298 0.7474 0.0000
P4 0.7702 0.2474 0.5000
O1 0.0948 0.6184 0.5000
O2 0.1222 0.9197 0.0000
O3 0.1335 0.9146 0.5000
O4 0.1633 0.2429 0.2196
O5 0.1633 0.2429 0.7804
O6 0.3367 0.7429 0.2804
O7 0.3367 0.7429 0.7196
O8 0.3665 0.4146 0.0000
O9 0.3778 0.4197 0.5000
O10 0.4052 0.1184 0.0000
O11 0.5948 0.8816 0.0000
O12 0.6222 0.5803 0.5000
O13 0.6335 0.5854 0.0000
O14 0.6633 0.2571 0.2804
O15 0.6633 0.2571 0.7196
O16 0.8367 0.7571 0.2196
O17 0.8367 0.7571 0.7804
O18 0.8665 0.0854 0.5000
O19 0.8778 0.0803 0.0000
O20 0.9052 0.3816 0.5000

Properties
MP2020-corrected energy = -6.480 eV/atom
uncorrected energy = -193.6 eV/cell
excess energy over the best structure of this formula in the dataset = 0.0 meV per atom
DFT formation energy = -38.87 kcal/mol of atoms
V = 12.4 Å³/atom